## P
Density functional theory data (PBE+U) for crystalline Mn2V2O7 at its relaxed geometry.

a b c (Å): 5.5563 5.5563 5.1011
angles (deg): 97.09 97.09 107.91
Last column: nearest neighbours and their distance in Å.
Positions (direct):
Mn 0.1873 0.8127 0.0000  6 O 2.13-2.25
Mn 0.8127 0.1873 0.0000  6 O 2.13-2.25
V 0.2551 0.2551 0.6037  4 O 1.74-1.79
V 0.7449 0.7449 0.3963  4 O 1.74-1.79
O 0.0805 0.0805 0.2831  1 V 1.79
O 0.1082 0.4324 0.7935  1 V 1.74
O 0.4324 0.1082 0.7935  1 V 1.74
O 0.5000 0.5000 0.5000  2 V 1.79
O 0.5676 0.8918 0.2065  1 V 1.74
O 0.8918 0.5676 0.2065  1 V 1.74
O 0.9195 0.9195 0.7169  1 V 1.79

=====

## Q
Density functional theory data (PBE+U) for crystalline Mn2V2O7 at its relaxed geometry.

## Properties
* magnetization: 6.00 μB/f.u.
* piezoelectric modulus e_max: 1.9 C/m2

a b c (Å): 5.0909 5.3883 5.4780
angles (deg): 109.36 96.01 96.27
Last column: nearest neighbours and their distance in Å.
Positions (direct):
Mn 0.0000 0.0000 0.0000  5 O 1.91-2.12
Mn 0.0040 0.3439 0.6201  4 O 2.05-2.17
V 0.3848 0.8995 0.5752  4 O 1.71-1.86
V 0.6120 0.4158 0.0617  3 O 1.72-1.91
O 0.1603 0.7460 0.7378  1 V 1.81, 1 Mn 1.95
O 0.2231 0.0216 0.3572  1 V 1.72
O 0.2562 0.2452 0.9023  1 V 1.91, 1 Mn 1.99
O 0.4938 0.6195 0.3870  1 V 1.71
O 0.7075 0.1115 0.7478  1 V 1.86
O 0.7566 0.6766 0.9807  1 V 1.72
O 0.8343 0.2595 0.2398  1 V 1.86, 2 Mn 1.91-2.05

=====

The computed energies, referenced to the most stable structure and given in eV/atom, are P 0.000; Q 0.161.

=====

## P
Density functional theory data (PBE+U) for crystalline MnV2O4 at its relaxed geometry.

## Properties
* magnetization: 9.00 μB/f.u.

a b c (Å): 9.2625 3.0065 10.7096
angles (deg): 90.00 90.00 90.00
Last column: nearest neighbours and their distance in Å.
Positions (direct):
Mn 0.2483 0.2500 0.1495  7 O 2.30-2.54
Mn 0.2517 0.7500 0.6495  7 O 2.30-2.54
Mn 0.7483 0.2500 0.3505  7 O 2.30-2.54
Mn 0.7517 0.7500 0.8505  7 O 2.30-2.54
V 0.0663 0.2500 0.3822  6 O 1.97-2.12
V 0.0842 0.2500 0.8959  6 O 2.00-2.09
V 0.4158 0.7500 0.3959  6 O 2.00-2.09
V 0.4337 0.7500 0.8822  6 O 1.97-2.12
V 0.5663 0.2500 0.1178  6 O 1.97-2.12
V 0.5842 0.2500 0.6041  6 O 2.00-2.09
V 0.9158 0.7500 0.1041  6 O 2.00-2.09
V 0.9337 0.7500 0.6178  6 O 1.97-2.12
O 0.0258 0.7500 0.7835  3 V 1.97-2.00
O 0.0863 0.2500 0.5724  3 V 2.05-2.12
O 0.1230 0.7500 0.0272  3 V 2.09, 2 Mn 2.31
O 0.2078 0.7500 0.3245  3 V 2.07-2.09
O 0.2922 0.2500 0.8245  3 V 2.07-2.09
O 0.3770 0.2500 0.5272  3 V 2.09, 2 Mn 2.31
O 0.4137 0.7500 0.0724  3 V 2.05-2.12
O 0.4742 0.2500 0.2835  3 V 1.97-2.00
O 0.5258 0.7500 0.7165  3 V 1.97-2.00
O 0.5863 0.2500 0.9276  3 V 2.05-2.12
O 0.6230 0.7500 0.4728  3 V 2.09, 2 Mn 2.31
O 0.7078 0.7500 0.1755  3 V 2.07-2.09
O 0.7922 0.2500 0.6755  3 V 2.07-2.09
O 0.8770 0.2500 0.9728  3 V 2.09, 2 Mn 2.31
O 0.9137 0.7500 0.4276  3 V 2.05-2.12
O 0.9742 0.2500 0.2165  3 V 1.97-2.00

=====

## Q
Density functional theory data (PBE+U) for crystalline MnV2O4 at its relaxed geometry.

## Properties
* magnetization: 9.00 μB/f.u.

a b c (Å): 20.4453 20.4453 20.4453
angles (deg): 16.97 16.97 16.97
Last column: nearest neighbours and their distance in Å.
Positions (direct):
Mn 0.0000 0.0000 0.0000  4 O 2.04-2.08
Mn 0.0630 0.0630 0.0630  4 O 2.04-2.06
Mn 0.2503 0.2503 0.2503  4 O 2.03-2.08
Mn 0.4998 0.4998 0.4998  4 O 2.04-2.07
Mn 0.6566 0.6566 0.6566  6 O 2.16-2.19
Mn 0.7494 0.7494 0.7494  4 O 2.05-2.06
Mn 0.8134 0.8134 0.8134  4 O 2.06
Mn 0.9054 0.9054 0.9054  6 O 2.15-2.21
V 0.0352 0.5294 0.5294  6 O 2.00-2.12
V 0.0361 0.0361 0.5192  6 O 2.03-2.09
V 0.0361 0.5192 0.0361  6 O 2.03-2.09
V 0.1539 0.1539 0.1539  6 O 2.03-2.04
V 0.2797 0.7813 0.7813  6 O 2.00-2.12
V 0.2835 0.2835 0.7757  6 O 2.03-2.05
V 0.2835 0.7757 0.2835  6 O 2.03-2.05
V 0.3119 0.3119 0.3119  4 O 1.92-1.96
V 0.4053 0.4053 0.4053  6 O 2.02-2.04
V 0.5192 0.0361 0.0361  6 O 2.03-2.09
V 0.5294 0.0352 0.5294  6 O 2.00-2.12
V 0.5294 0.5294 0.0352  6 O 2.00-2.12
V 0.5616 0.5616 0.5616  4 O 1.92-1.97
V 0.7757 0.2835 0.2835  6 O 2.03-2.05
V 0.7813 0.2797 0.7813  6 O 2.00-2.12
V 0.7813 0.7813 0.2797  6 O 2.00-2.12
O 0.0822 0.0822 0.6235  2 V 2.00, 2 Mn 2.03-2.15
O 0.0822 0.6235 0.0822  2 V 2.00, 2 Mn 2.03-2.15
O 0.0971 0.0971 0.0971  3 V 2.05, 1 Mn 2.06
O 0.1313 0.5754 0.5754  3 V 2.04, 1 Mn 2.05
O 0.2119 0.7178 0.7178  3 V 1.92-2.09
O 0.2158 0.2158 0.2158  3 V 2.03, 1 Mn 2.08
O 0.2337 0.2337 0.6854  3 V 2.02-2.03, 1 Mn 2.04
O 0.2337 0.6854 0.2337  3 V 2.02-2.03, 1 Mn 2.04
O 0.3223 0.3223 0.8842  3 V 2.04-2.05, 1 Mn 2.04
O 0.3223 0.8842 0.3223  3 V 2.04-2.05, 1 Mn 2.04
O 0.3443 0.3443 0.3443  4 V 1.96-2.12
O 0.3718 0.8345 0.8345  2 V 2.00, 2 Mn 2.04-2.16
O 0.4391 0.9801 0.9801  3 V 2.03-2.04, 1 Mn 2.06
O 0.4655 0.4655 0.4655  3 V 2.03, 1 Mn 2.07
O 0.4711 0.4711 0.9586  3 V 1.92-2.09
O 0.4711 0.9586 0.4711  3 V 1.92-2.09
O 0.5754 0.1313 0.5754  3 V 2.04, 1 Mn 2.05
O 0.5754 0.5754 0.1313  3 V 2.04, 1 Mn 2.05
O 0.5943 0.5943 0.5943  4 V 1.97-2.12
O 0.6235 0.0822 0.0822  2 V 2.00, 2 Mn 2.03-2.15
O 0.6854 0.2337 0.2337  3 V 2.02-2.03, 1 Mn 2.04
O 0.7153 0.7153 0.7153  3 V 2.05, 1 Mn 2.06
O 0.7178 0.2119 0.7178  3 V 1.92-2.09
O 0.7178 0.7178 0.2119  3 V 1.92-2.09
O 0.8345 0.3718 0.8345  2 V 2.00, 2 Mn 2.04-2.16
O 0.8345 0.8345 0.3718  2 V 2.00, 2 Mn 2.04-2.16
O 0.8474 0.8474 0.8474  3 V 2.05, 1 Mn 2.06
O 0.8842 0.3223 0.3223  3 V 2.04-2.05, 1 Mn 2.04
O 0.9586 0.4711 0.4711  3 V 1.92-2.09
O 0.9655 0.9655 0.9655  3 V 2.05, 1 Mn 2.08
O 0.9801 0.4391 0.9801  3 V 2.03-2.04, 1 Mn 2.06
O 0.9801 0.9801 0.4391  3 V 2.03-2.04, 1 Mn 2.06

=====

The computed energies, referenced to the most stable structure and given in eV/atom, are P 0.044; Q 0.000.

=====

## P
Density functional theory data (PBE+U) for crystalline MnZn2WO6 at its relaxed geometry.

## Properties
* magnetization: 0.00 μB/f.u.

a b c (Å): 5.3222 7.7646 5.6511
angles (deg): 94.76 90.03 89.97
Last column: nearest neighbours and their distance in Å.
Positions (direct):
Zn 0.0083 0.2495 0.4930  3 O 1.94
O 0.3150 0.0552 0.8579  1 W 1.91, 1 Zn 2.05
O 0.7200 0.9038 0.1929  1 Zn 1.94, 1 W 2.03, 1 Mn 2.16
O 0.3655 0.7204 0.5235  1 W 1.91, 1 Zn 2.04
O 0.1572 0.0443 0.3324  1 Zn 1.94, 1 W 2.03, 1 Mn 2.16
O 0.2201 0.4038 0.6928  1 Zn 1.94, 1 W 2.03, 1 Mn 2.16
W 0.0082 0.9943 0.0034  6 O 1.91-2.03
O 0.8150 0.5553 0.3579  1 W 1.91, 1 Zn 2.05
O 0.8439 0.9136 0.7153  1 W 1.91, 1 Zn 2.04
O 0.6479 0.2557 0.5439  1 Zn 1.94, 1 W 2.03, 1 Mn 2.16
Zn 0.5084 0.7495 0.9931  3 O 1.94
Mn 0.0087 0.4935 0.0055  6 O 2.16-2.26
Mn 0.5086 0.9935 0.5055  6 O 2.16-2.26
O 0.1479 0.7557 0.0438  1 Zn 1.94, 1 W 2.03, 1 Mn 2.16
W 0.5082 0.4943 0.5034  6 O 1.91-2.03
Zn 0.0081 0.7817 0.4293  3 O 2.04-2.05
Zn 0.5082 0.2817 0.9294  3 O 2.04-2.05
O 0.8656 0.2204 0.0235  1 W 1.91, 1 Zn 2.04
O 0.6572 0.5444 0.8324  1 Zn 1.94, 1 W 2.03, 1 Mn 2.16
O 0.3439 0.4136 0.2153  1 W 1.91, 1 Zn 2.04

=====

## Q
Density functional theory data (PBE+U) for crystalline MnZn2WO6 at its relaxed geometry.

## Properties
* magnetization: 0.00 μB/f.u.

a b c (Å): 5.3330 5.3187 9.4765
angles (deg): 90.00 122.67 90.00
Last column: nearest neighbours and their distance in Å.
Positions (direct):
Mn 0.0000 0.2495 0.0000  6 O 2.10-2.31
Mn 0.0000 0.7505 0.5000  6 O 2.10-2.31
Zn 0.2239 0.2249 0.7402  4 O 2.00-2.07
Zn 0.2239 0.7751 0.2402  4 O 2.00-2.07
Zn 0.7759 0.2751 0.2604  4 O 2.00-2.07
Zn 0.7759 0.7249 0.7604  4 O 2.00-2.07
W 0.4999 0.2502 0.5003  6 O 1.93-2.02
W 0.4999 0.7498 0.0003  6 O 1.93-2.02
O 0.1535 0.1471 0.2723  1 W 2.02, 2 Zn 2.07
O 0.1535 0.8529 0.7723  1 W 2.02, 2 Zn 2.07
O 0.2354 0.4105 0.5544  1 W 1.94, 1 Zn 2.05, 1 Mn 2.10
O 0.2354 0.5895 0.0544  1 W 1.94, 1 Zn 2.05, 1 Mn 2.10
O 0.4452 0.0609 0.0867  1 W 1.94, 1 Zn 2.00
O 0.4452 0.9391 0.5867  1 W 1.94, 1 Zn 2.00
O 0.5546 0.4391 0.9139  1 W 1.93, 1 Zn 2.00
O 0.5546 0.5609 0.4139  1 W 1.93, 1 Zn 2.00
O 0.7644 0.0896 0.4462  1 W 1.94, 1 Zn 2.05, 1 Mn 2.10
O 0.7644 0.9104 0.9462  1 W 1.94, 1 Zn 2.05, 1 Mn 2.10
O 0.8462 0.3529 0.7284  1 W 2.02, 2 Zn 2.07
O 0.8462 0.6471 0.2284  1 W 2.02, 2 Zn 2.07

=====

The computed energies, referenced to the most stable structure and given in eV/atom, are P 0.000; Q 0.030.